Entry 1:
The following is a DFT calculation (PBE) of a geometry-optimized LiC6 structure.

## Properties
As for the space-group type: P6/mmm (191).

The structure in POSCAR format:
```
LiC6
1.0
4.323 0.000 0.000
-2.162 3.744 0.000
0.000 0.000 3.745
Li C
1 6
direct
0.000 0.000 0.000
0.000 0.334 0.500
0.000 0.666 0.500
0.334 0.000 0.500
0.334 0.334 0.500
0.666 0.000 0.500
0.666 0.666 0.500
```



Entry 2:
The following is a DFT calculation (PBE) of a geometry-optimized TaSn2 structure.

## Properties
As for the space-group type: Fddd (70).

The structure in POSCAR format:
```
TaSn2
1.0
0.000 4.947 9.681
2.853 0.000 9.681
2.853 4.947 0.000
Ta Sn
4 8
direct
0.002 0.002 0.748
0.252 0.252 0.998
0.748 0.748 0.002
0.998 0.998 0.252
0.043 0.707 0.043
0.293 0.293 0.457
0.293 0.957 0.293
0.457 0.457 0.293
0.543 0.543 0.707
0.707 0.043 0.707
0.707 0.707 0.543
0.957 0.293 0.957
```



Entry 3:
The following is a DFT calculation (PBE) of a geometry-optimized LiMgO3 structure.

## Properties
As for the space-group type: Pm-3m (221). The total magnetization comes out at 3.000 Bohr magnetons per cell.

The structure in POSCAR format:
```
LiMgO3
1.0
3.970 0.000 0.000
0.000 3.970 0.000
0.000 0.000 3.970
Li Mg O
1 1 3
direct
0.000 0.000 0.000
0.500 0.500 0.500
0.000 0.500 0.500
0.500 0.000 0.500
0.500 0.500 0.000
```



Entry 4:
The following is a DFT calculation (PBE) of a geometry-optimized Na3Ag structure.

## Properties
As for the space-group type: P6_3/mmc (194).

The structure in POSCAR format:
```
Na3Ag
1.0
6.866 0.000 0.000
-3.433 5.946 0.000
0.000 0.000 5.462
Na Ag
6 2
direct
0.174 0.348 0.250
0.174 0.826 0.250
0.348 0.174 0.750
0.652 0.826 0.250
0.826 0.174 0.750
0.826 0.652 0.750
0.333 0.667 0.750
0.667 0.333 0.250
```



Entry 5:
The following is a DFT calculation (PBE) of a geometry-optimized Mg2RhAu structure.

## Properties
As for the space-group type: Fm-3m (225).

The structure in POSCAR format:
```
Mg2RhAu
1.0
0.000 3.201 3.201
3.201 0.000 3.201
3.201 3.201 0.000
Mg Rh Au
2 1 1
direct
0.250 0.250 0.250
0.750 0.750 0.750
0.000 0.000 0.000
0.500 0.500 0.500
```



Entry 6:
The following is a DFT calculation (PBE) of a geometry-optimized TmCd3 structure.

## Properties
As for the space-group type: Cmcm (63).

The structure in POSCAR format:
```
TmCd3
1.0
3.600 -5.380 0.000
3.600 5.380 0.000
0.000 0.000 4.858
Tm Cd
2 6
direct
0.131 0.869 0.750
0.869 0.131 0.250
0.188 0.381 0.750
0.322 0.678 0.250
0.381 0.188 0.250
0.619 0.812 0.750
0.678 0.322 0.750
0.812 0.619 0.250
```



| no. | E_tot (eV per atom) | mass density (kg/m3) | formation enthalpy at 0 K (eV/atom) |
| --- | --- | --- | --- |
| 1 | -8.185 | 2164 | -0.002 |
| 2 | -6.650 | 10170 | -0.024 |
| 3 | -4.575 | 2103 | -1.317 |
| 4 | -1.690 | 2634 | 0.010 |
| 5 | -4.012 | 8824 | -0.552 |
| 6 | -2.059 | 8932 | -0.248 |